Entry 1:
# Ba3Y2B6O15

An optimized crystal structure of Ba3Y2B6O15 (GGA-PBE, Materials Project).

Output
Space-group type ... Ia-3 (206)
Energy ... -8.01 eV/atom

a b c (Å): 12.5010 12.5010 12.5010
angles (deg): 109.47 109.47 109.47
Last column: nearest neighbours and their distance in Å.
Positions (direct):
O: 0.1213 0.1095 0.4295  1 B 1.37
O: 0.5705 0.8787 0.8905  1 B 1.37
B: 0.5802 0.2561 0.9519  3 O 1.37-1.41
O: 0.0085 0.4783 0.6762  1 B 1.37
O: 0.0916 0.2500 0.3416  2 B 1.41
B: 0.6958 0.2439 0.8242  3 O 1.37-1.41
O: 0.8200 0.3082 0.9295  1 B 1.37
Ba: 0.8694 0.1194 0.7500  9 O 2.77-3.06
O: 0.1762 0.6980 0.6677  1 B 1.37
O: 0.1979 0.0217 0.0302  1 B 1.37
B: 0.9519 0.5802 0.2561  3 O 1.37-1.41
O: 0.6800 0.6095 0.4882  1 B 1.37
Ba: 0.1306 0.8806 0.2500  9 O 2.77-3.06
Ba: 0.8806 0.2500 0.1306  9 O 2.77-3.06
O: 0.0217 0.0302 0.1979  1 B 1.37
O: 0.9084 0.7500 0.6584  2 B 1.41
O: 0.6918 0.0705 0.1800  1 B 1.37
B: 0.9198 0.8716 0.6758  3 O 1.37-1.41
O: 0.1584 0.4084 0.7500  2 B 1.41
O: 0.4915 0.1677 0.4698  1 B 1.37
B: 0.1958 0.3716 0.4519  3 O 1.37-1.41
O: 0.5916 0.2500 0.8416  2 B 1.41
O: 0.4698 0.4915 0.1677  1 B 1.37
Y: 0.0000 0.0000 0.5000  6 O 2.29
B: 0.0802 0.1284 0.3242  3 O 1.37-1.41
O: 0.9915 0.5217 0.3238  1 B 1.37
Ba: 0.7500 0.3694 0.6194  9 O 2.77-3.06
B: 0.2439 0.8242 0.6958  3 O 1.37-1.41
Ba: 0.3694 0.6194 0.7500  9 O 2.77-3.06
O: 0.6980 0.6677 0.1762  1 B 1.37
O: 0.4084 0.7500 0.1584  2 B 1.41
Ba: 0.3806 0.2500 0.6306  9 O 2.77-3.06
O: 0.8238 0.3020 0.3323  1 B 1.37
B: 0.8042 0.6284 0.5481  3 O 1.37-1.41
O: 0.4295 0.1213 0.1095  1 B 1.37
O: 0.1677 0.4698 0.4915  1 B 1.37
B: 0.6284 0.5481 0.8042  3 O 1.37-1.41
O: 0.3323 0.8238 0.3020  1 B 1.37
B: 0.1758 0.3042 0.7561  3 O 1.37-1.41
O: 0.7500 0.6584 0.9084  2 B 1.41
O: 0.9882 0.3787 0.8082  1 B 1.37
B: 0.0481 0.4198 0.7439  3 O 1.37-1.41
B: 0.4198 0.7439 0.0481  3 O 1.37-1.41
Y: 0.0000 0.0000 0.0000  6 O 2.28
O: 0.1918 0.0118 0.6213  1 B 1.37
O: 0.6584 0.9084 0.7500  2 B 1.41
B: 0.7561 0.1758 0.3042  3 O 1.37-1.41
B: 0.1284 0.3242 0.0802  3 O 1.37-1.41
B: 0.3242 0.0802 0.1284  3 O 1.37-1.41
O: 0.5217 0.3238 0.9915  1 B 1.37
O: 0.6213 0.1918 0.0118  1 B 1.37
B: 0.3716 0.4519 0.1958  3 O 1.37-1.41
B: 0.3042 0.7561 0.1758  3 O 1.37-1.41
O: 0.6095 0.4882 0.6800  1 B 1.37
O: 0.8082 0.9882 0.3787  1 B 1.37
O: 0.9783 0.9698 0.8020  1 B 1.37
O: 0.3020 0.3323 0.8238  1 B 1.37
O: 0.6762 0.0085 0.4783  1 B 1.37
Y: 0.0000 0.5000 0.0000  6 O 2.29
O: 0.9698 0.8020 0.9783  1 B 1.37
O: 0.5085 0.8323 0.5302  1 B 1.37
O: 0.0118 0.6213 0.1918  1 B 1.37
B: 0.6758 0.9198 0.8716  3 O 1.37-1.41
O: 0.5302 0.5085 0.8323  1 B 1.37
O: 0.3082 0.9295 0.8200  1 B 1.37
O: 0.8020 0.9783 0.9698  1 B 1.37
O: 0.8323 0.5302 0.5085  1 B 1.37
O: 0.1800 0.6918 0.0705  1 B 1.37
O: 0.0302 0.1979 0.0217  1 B 1.37
O: 0.7500 0.1584 0.4084  2 B 1.41
O: 0.3200 0.3905 0.5118  1 B 1.37
O: 0.2500 0.8416 0.5916  2 B 1.41
Ba: 0.6306 0.3806 0.2500  9 O 2.77-3.06
O: 0.3416 0.0916 0.2500  2 B 1.41
O: 0.0705 0.1800 0.6918  1 B 1.37
B: 0.5481 0.8042 0.6284  3 O 1.37-1.41
Ba: 0.2500 0.6306 0.3806  9 O 2.77-3.06
O: 0.8787 0.8905 0.5705  1 B 1.37
O: 0.2500 0.3416 0.0916  2 B 1.41
O: 0.3787 0.8082 0.9882  1 B 1.37
O: 0.3238 0.9915 0.5217  1 B 1.37
B: 0.8242 0.6958 0.2439  3 O 1.37-1.41
O: 0.1095 0.4295 0.1213  1 B 1.37
Y: 0.5000 0.0000 0.0000  6 O 2.29
Y: 0.0000 0.5000 0.5000  6 O 2.28
Y: 0.5000 0.5000 0.5000  6 O 2.29
O: 0.8416 0.5916 0.2500  2 B 1.41
B: 0.8716 0.6758 0.9198  3 O 1.37-1.41
B: 0.4519 0.1958 0.3716  3 O 1.37-1.41
O: 0.4882 0.6800 0.6095  1 B 1.37
O: 0.5118 0.3200 0.3905  1 B 1.37
Ba: 0.6194 0.7500 0.3694  9 O 2.77-3.06
O: 0.4783 0.6762 0.0085  1 B 1.37
Ba: 0.2500 0.1306 0.8806  9 O 2.77-3.06
Y: 0.5000 0.0000 0.5000  6 O 2.28
B: 0.7439 0.0481 0.4198  3 O 1.37-1.41
O: 0.9295 0.8200 0.3082  1 B 1.37
Ba: 0.1194 0.7500 0.8694  9 O 2.77-3.06
B: 0.2561 0.9519 0.5802  3 O 1.37-1.41
Ba: 0.7500 0.8694 0.1194  9 O 2.77-3.06
O: 0.6677 0.1762 0.6980  1 B 1.37
O: 0.8905 0.5705 0.8787  1 B 1.37
Y: 0.5000 0.5000 0.0000  6 O 2.28
O: 0.3905 0.5118 0.3200  1 B 1.37

***

Entry 2:
# Ba2ZnB2O6

An optimized crystal structure of Ba2ZnB2O6 (GGA-PBE, Materials Project).

Output
Space-group type ... Pca2_1 (29)
Energy ... -6.91 eV/atom

a b c (Å): 8.8603 10.2550 15.2964
angles (deg): 90.00 90.00 90.00
Last column: nearest neighbours and their distance in Å.
Positions (direct):
O: 0.3089 0.6584 0.5303  1 B 1.40
O: 0.3426 0.2761 0.2343  1 B 1.39
Ba: 0.6736 0.8894 0.1176  6 O 2.72-2.85
O: 0.9989 0.8661 0.4010  1 B 1.41
O: 0.3426 0.7761 0.2657  1 B 1.39
Zn: 0.4939 0.1500 0.7120  4 O 1.97-2.00
Ba: 0.1360 0.1260 0.1135  4 O 2.66-2.75
B: 0.3457 0.9113 0.2643  3 O 1.39
O: 0.5207 0.9807 0.7744  1 B 1.39
B: 0.0106 0.9214 0.4850  3 O 1.38-1.41
O: 0.1565 0.0217 0.7446  1 B 1.39
O: 0.1565 0.5217 0.7554  1 B 1.39
O: 0.6574 0.2761 0.7343  1 B 1.39
O: 0.7884 0.4799 0.7476  1 B 1.39
O: 0.8752 0.0061 0.0084  1 B 1.38
B: 0.1594 0.1568 0.7506  3 O 1.39
B: 0.4462 0.1722 0.0136  3 O 1.38-1.41
O: 0.9989 0.3661 0.0990  1 B 1.41
O: 0.5297 0.5945 0.9116  1 B 1.41
Zn: 0.5061 0.1500 0.2120  4 O 1.97-2.00
Ba: 0.3264 0.3894 0.8824  6 O 2.72-2.85
O: 0.4703 0.0945 0.0884  1 B 1.41
O: 0.4793 0.4807 0.2256  1 B 1.39
O: 0.8947 0.8907 0.5424  1 B 1.39
Zn: 0.0124 0.9032 0.2742  4 O 1.96-1.99
O: 0.5207 0.4807 0.7256  1 B 1.39
B: 0.6543 0.9113 0.7643  3 O 1.39
B: 0.5538 0.6722 0.9864  3 O 1.38-1.41
O: 0.6911 0.1584 0.4697  1 B 1.40
O: 0.5522 0.7603 0.5165  1 B 1.38
Zn: 0.9876 0.9032 0.7742  4 O 1.96-1.99
Ba: 0.6904 0.4139 0.0991  7 O 2.67-2.96
B: 0.6543 0.4113 0.7357  3 O 1.39
O: 0.7071 0.2252 0.2357  1 B 1.39
O: 0.0282 0.2250 0.7707  1 B 1.39
O: 0.2929 0.7252 0.7643  1 B 1.39
B: 0.8406 0.6568 0.2494  3 O 1.39
B: 0.9894 0.4214 0.5150  3 O 1.38-1.41
B: 0.9894 0.9214 0.9850  3 O 1.38-1.41
Zn: 0.5061 0.6500 0.2880  4 O 1.97-2.00
O: 0.0011 0.3661 0.5990  1 B 1.41
O: 0.7884 0.9799 0.7524  1 B 1.39
B: 0.3457 0.4113 0.2357  3 O 1.39
Ba: 0.2082 0.6776 0.1140  6 O 2.61-2.88
O: 0.2116 0.4799 0.2476  1 B 1.39
Ba: 0.8640 0.6260 0.8865  4 O 2.66-2.75
O: 0.8752 0.5061 0.4916  1 B 1.38
B: 0.5538 0.1722 0.5136  3 O 1.38-1.41
O: 0.1053 0.3907 0.4576  1 B 1.39
O: 0.8435 0.5217 0.2554  1 B 1.39
O: 0.7071 0.7252 0.2643  1 B 1.39
Ba: 0.1360 0.6260 0.3865  4 O 2.66-2.75
Zn: 0.9876 0.4032 0.7258  4 O 1.96-1.99
B: 0.4462 0.6722 0.4864  3 O 1.38-1.41
Ba: 0.3096 0.4139 0.5991  7 O 2.67-2.96
O: 0.4703 0.5945 0.4116  1 B 1.41
O: 0.5522 0.2603 0.9835  1 B 1.38
O: 0.1248 0.0061 0.5084  1 B 1.38
O: 0.6574 0.7761 0.7657  1 B 1.39
Ba: 0.3264 0.8894 0.6176  6 O 2.72-2.85
O: 0.9718 0.2250 0.2707  1 B 1.39
Ba: 0.8640 0.1260 0.6135  4 O 2.66-2.75
O: 0.2929 0.2252 0.7357  1 B 1.39
O: 0.1053 0.8907 0.0424  1 B 1.39
Ba: 0.6904 0.9139 0.4009  7 O 2.67-2.96
O: 0.8435 0.0217 0.2446  1 B 1.39
O: 0.0282 0.7250 0.7293  1 B 1.39
O: 0.0011 0.8661 0.9010  1 B 1.41
O: 0.9718 0.7250 0.2293  1 B 1.39
B: 0.1594 0.6568 0.7494  3 O 1.39
O: 0.4478 0.2603 0.4835  1 B 1.38
O: 0.2116 0.9799 0.2524  1 B 1.39
Zn: 0.0124 0.4032 0.2258  4 O 1.96-1.99
Ba: 0.7918 0.1776 0.8860  6 O 2.61-2.88
Ba: 0.3096 0.9139 0.9009  7 O 2.67-2.96
O: 0.3089 0.1584 0.9697  1 B 1.40
O: 0.5297 0.0945 0.5884  1 B 1.41
O: 0.8947 0.3907 0.9576  1 B 1.39
Zn: 0.4939 0.6500 0.7880  4 O 1.97-2.00
O: 0.4793 0.9807 0.2744  1 B 1.39
O: 0.1248 0.5061 0.9916  1 B 1.38
O: 0.6911 0.6584 0.0303  1 B 1.40
Ba: 0.7918 0.6776 0.6140  6 O 2.61-2.88
O: 0.4478 0.7603 0.0165  1 B 1.38
B: 0.0106 0.4214 0.0150  3 O 1.38-1.41
B: 0.8406 0.1568 0.2506  3 O 1.39
Ba: 0.2082 0.1776 0.3860  6 O 2.61-2.88
Ba: 0.6736 0.3894 0.3824  6 O 2.72-2.85

***

Entry 3:
# BaZn2B2O6

An optimized crystal structure of BaZn2B2O6 (GGA-PBE, Materials Project).

Output
Space-group type ... P2_12_12_1 (19)
Energy ... -6.55 eV/atom
Piezoelectric modulus e_max ... 0.51 C/m²

a b c (Å): 4.9861 9.4828 12.2835
angles (deg): 90.00 90.00 90.00
Last column: nearest neighbours and their distance in Å.
Positions (direct):
O: 0.9138 0.0630 0.0866  1 B 1.37
O: 0.4612 0.3348 0.0938  1 B 1.38
Zn: 0.5467 0.1318 0.1048  4 O 1.96-2.01
O: 0.6892 0.8317 0.8423  1 B 1.38
B: 0.9417 0.5900 0.5062  3 O 1.37-1.43
Ba: 0.4696 0.6014 0.7290  6 O 2.76-2.90
O: 0.9057 0.4061 0.7470  1 B 1.37
Zn: 0.5539 0.3418 0.5313  4 O 1.96-2.00
O: 0.5943 0.5939 0.2470  1 B 1.37
O: 0.8108 0.1683 0.3423  1 B 1.38
O: 0.9612 0.1652 0.9062  1 B 1.38
Zn: 0.0539 0.1582 0.4687  4 O 1.96-2.00
B: 0.9654 0.8332 0.8338  3 O 1.37-1.41
O: 0.3821 0.2493 0.4070  1 B 1.41
B: 0.5583 0.4100 0.0062  3 O 1.37-1.43
O: 0.6720 0.5397 0.5126  1 B 1.43
B: 0.4654 0.6668 0.1662  3 O 1.37-1.41
O: 0.3280 0.0397 0.9874  1 B 1.43
O: 0.4138 0.4370 0.9134  1 B 1.37
O: 0.3108 0.3317 0.6577  1 B 1.38
B: 0.4417 0.9100 0.4938  3 O 1.37-1.43
B: 0.5346 0.1668 0.3338  3 O 1.37-1.41
B: 0.0346 0.3332 0.6662  3 O 1.37-1.41
O: 0.8280 0.4603 0.0126  1 B 1.43
O: 0.0862 0.5630 0.4134  1 B 1.37
O: 0.8821 0.2507 0.5930  1 B 1.41
O: 0.1892 0.6683 0.1577  1 B 1.38
O: 0.0388 0.6652 0.5938  1 B 1.38
O: 0.1179 0.7507 0.9070  1 B 1.41
Ba: 0.5304 0.1014 0.7710  6 O 2.76-2.90
O: 0.5388 0.8348 0.4062  1 B 1.38
O: 0.6179 0.7493 0.0930  1 B 1.41
Zn: 0.4533 0.6318 0.3952  4 O 1.96-2.01
Zn: 0.9533 0.8682 0.6048  4 O 1.96-2.01
O: 0.0943 0.9061 0.7530  1 B 1.37
O: 0.5862 0.9370 0.5866  1 B 1.37
O: 0.4057 0.0939 0.2530  1 B 1.37
Ba: 0.0304 0.3986 0.2290  6 O 2.76-2.90
Zn: 0.0467 0.3682 0.8952  4 O 1.96-2.01
O: 0.1720 0.9603 0.4874  1 B 1.43
B: 0.0583 0.0900 0.9938  3 O 1.37-1.43
Zn: 0.4461 0.8418 0.9687  4 O 1.96-2.00
Ba: 0.9696 0.8986 0.2710  6 O 2.76-2.90
Zn: 0.9461 0.6582 0.0313  4 O 1.96-2.00

***

Entry 4:
# BaZrB2O6

An optimized crystal structure of BaZrB2O6 (GGA-PBE, Materials Project).

Output
Space-group type ... R-3c (167)
Energy ... -8.27 eV/atom

a b c (Å): 11.9503 11.9503 11.9503
angles (deg): 25.25 25.25 25.25
Last column: nearest neighbours and their distance in Å.
Positions (direct):
O: 0.8367 0.7219 0.3321  1 B 1.38
O: 0.3367 0.8321 0.2219  1 B 1.38
O: 0.2781 0.6679 0.1633  1 B 1.38
O: 0.1679 0.7781 0.6633  1 B 1.38
B: 0.6311 0.6311 0.6311  3 O 1.38
B: 0.8689 0.8689 0.8689  3 O 1.38
O: 0.7781 0.6633 0.1679  1 B 1.38
O: 0.1633 0.2781 0.6679  1 B 1.38
O: 0.3321 0.8367 0.7219  1 B 1.38
O: 0.7219 0.3321 0.8367  1 B 1.38
Zr: 0.5000 0.5000 0.5000  6 O 2.11
Ba: 0.2500 0.2500 0.2500  6 O 2.83
O: 0.6679 0.1633 0.2781  1 B 1.38
Ba: 0.7500 0.7500 0.7500  6 O 2.83
O: 0.2219 0.3367 0.8321  1 B 1.38
B: 0.3689 0.3689 0.3689  3 O 1.38
O: 0.8321 0.2219 0.3367  1 B 1.38
B: 0.1311 0.1311 0.1311  3 O 1.38
Zr: 0.0000 0.0000 0.0000  6 O 2.11
O: 0.6633 0.1679 0.7781  1 B 1.38

***

Formation energy from the elements, record by record: -3.2934 -2.9065 -2.6095 -3.3347 eV/atom